This record from the Materials Project describes SmFe2Ge2 after structural relaxation. The functional is r²SCAN.

a = 6.1322 Å, b = 6.1322 Å, c = 6.1322 Å
α = 142.23°, β = 142.23°, γ = 54.48°
Closest atoms and distances in Å follow each position.
Atoms (fractional coordinates):
Sm (0.0000, 0.0000, 0.0000)  8 Ge 3.08, 8 Fe 3.37
Fe (0.7500, 0.2500, 0.5000)  4 Ge 2.46
Fe (0.2500, 0.7500, 0.5000)  4 Ge 2.46
Ge (0.6163, 0.6163, 0.0000)  4 Fe 2.46, 1 Ge 2.54
Ge (0.3837, 0.3837, 0.0000)  4 Fe 2.46, 1 Ge 2.54

The calculated formation energy comes out at -0.475 eV per atom. As for the space group: I4/mmm (139).

---

This record from the Materials Project describes TbFe6Ge6 after structural relaxation. The functional is r²SCAN.

a = 9.7503 Å, b = 9.7503 Å, c = 5.1306 Å
α = 90.00°, β = 90.00°, γ = 130.10°
Closest atoms and distances in Å follow each position.
Atoms (fractional coordinates):
Tb (0.1276, 0.8724, 0.2500)  8 Ge 2.86-2.99
Tb (0.8724, 0.1276, 0.7500)  8 Ge 2.86-2.99
Fe (0.1249, 0.3747, 0.2500)  6 Ge 2.50-2.69, 4 Fe 2.55-2.56
Fe (0.8751, 0.6253, 0.7500)  6 Ge 2.50-2.69, 4 Fe 2.55-2.56
Fe (0.7504, 0.7504, 0.5000)  6 Ge 2.53-2.68, 4 Fe 2.55-2.57
Fe (0.2496, 0.2496, 0.0000)  6 Ge 2.53-2.68, 4 Fe 2.55-2.57
Fe (0.2496, 0.2496, 0.5000)  6 Ge 2.53-2.68, 4 Fe 2.55-2.57
Fe (0.7504, 0.7504, 0.0000)  6 Ge 2.53-2.68, 4 Fe 2.55-2.57
Fe (0.0000, 0.5000, 0.5000)  6 Ge 2.52-2.68, 4 Fe 2.56-2.57
Fe (0.0000, 0.5000, 0.0000)  6 Ge 2.52-2.68, 4 Fe 2.56-2.57
Fe (0.5000, 0.0000, 0.5000)  6 Ge 2.52-2.68, 4 Fe 2.56-2.57
Fe (0.5000, 0.0000, 0.0000)  6 Ge 2.52-2.68, 4 Fe 2.56-2.57
Fe (0.3747, 0.1249, 0.7500)  6 Ge 2.50-2.69, 4 Fe 2.55-2.56
Fe (0.6253, 0.8751, 0.2500)  6 Ge 2.50-2.69, 4 Fe 2.55-2.56
Ge (0.7770, 0.5276, 0.2500)  1 Ge 2.51, 6 Fe 2.68-2.69
Ge (0.2230, 0.4724, 0.7500)  1 Ge 2.51, 6 Fe 2.68-2.69
Ge (0.7048, 0.2952, 0.7500)  6 Fe 2.50-2.55
Ge (0.2952, 0.7048, 0.2500)  6 Fe 2.50-2.55
Ge (0.2109, 0.7891, 0.7500)  6 Fe 2.52-2.56
Ge (0.7891, 0.2109, 0.2500)  6 Fe 2.52-2.56
Ge (0.5404, 0.4596, 0.7500)  6 Fe 2.53-2.54
Ge (0.4596, 0.5404, 0.2500)  6 Fe 2.53-2.54
Ge (0.0416, 0.9584, 0.7500)  6 Fe 2.53
Ge (0.9584, 0.0416, 0.2500)  6 Fe 2.53
Ge (0.4724, 0.2230, 0.2500)  1 Ge 2.51, 6 Fe 2.68-2.69
Ge (0.5276, 0.7770, 0.7500)  1 Ge 2.51, 6 Fe 2.68-2.69

The calculated formation energy comes out at -0.211 eV per atom. As for the space group: Cmcm (63).

---

This record from the Materials Project describes TiFeGe2 after structural relaxation. The functional is r²SCAN.

a = 7.8902 Å, b = 8.9670 Å, c = 9.7684 Å
α = 90.00°, β = 90.00°, γ = 90.00°
Closest atoms and distances in Å follow each position.
Atoms (fractional coordinates):
Ti (0.7397, 0.8301, 0.0468)  8 Ge 2.64-2.90
Ti (0.7397, 0.1699, 0.9532)  8 Ge 2.64-2.90
Ti (0.2603, 0.6699, 0.5468)  8 Ge 2.64-2.90
Ti (0.2603, 0.3301, 0.4532)  8 Ge 2.64-2.90
Ti (0.2603, 0.1699, 0.9532)  8 Ge 2.64-2.90
Ti (0.2603, 0.8301, 0.0468)  8 Ge 2.64-2.90
Ti (0.7397, 0.3301, 0.4532)  8 Ge 2.64-2.90
Ti (0.7397, 0.6699, 0.5468)  8 Ge 2.64-2.90
Ti (0.5000, 0.8327, 0.3202)  7 Ge 2.67-2.80
Ti (0.5000, 0.1673, 0.6798)  7 Ge 2.67-2.80
Ti (0.5000, 0.6673, 0.8202)  7 Ge 2.67-2.80
Ti (0.5000, 0.3327, 0.1798)  7 Ge 2.67-2.80
Fe (0.7500, 0.5813, 0.2470)  6 Ge 2.38-2.55, 1 Fe 2.52
Fe (0.7500, 0.4187, 0.7530)  6 Ge 2.38-2.55, 1 Fe 2.52
Fe (0.2500, 0.9187, 0.7470)  6 Ge 2.38-2.55, 1 Fe 2.52
Fe (0.2500, 0.0813, 0.2530)  6 Ge 2.38-2.55, 1 Fe 2.52
Fe (0.2500, 0.4187, 0.7530)  6 Ge 2.38-2.55, 1 Fe 2.52
Fe (0.2500, 0.5813, 0.2470)  6 Ge 2.38-2.55, 1 Fe 2.52
Fe (0.7500, 0.0813, 0.2530)  6 Ge 2.38-2.55, 1 Fe 2.52
Fe (0.7500, 0.9187, 0.7470)  6 Ge 2.38-2.55, 1 Fe 2.52
Fe (0.7460, 0.0000, 0.5000)  6 Ge 2.47-2.51, 2 Fe 2.52
Fe (0.2540, 0.5000, 0.0000)  6 Ge 2.47-2.51, 2 Fe 2.52
Fe (0.2540, 0.0000, 0.5000)  6 Ge 2.47-2.51, 2 Fe 2.52
Fe (0.7460, 0.5000, 0.0000)  6 Ge 2.47-2.51, 2 Fe 2.52
Ge (0.8384, 0.8276, 0.3175)  3 Fe 2.42-2.47, 1 Ge 2.55, 1 Ti 2.67
Ge (0.8384, 0.1724, 0.6825)  3 Fe 2.42-2.47, 1 Ge 2.55, 1 Ti 2.67
Ge (0.1616, 0.6724, 0.8175)  3 Fe 2.42-2.47, 1 Ge 2.55, 1 Ti 2.67
Ge (0.1616, 0.3276, 0.1825)  3 Fe 2.42-2.47, 1 Ge 2.55, 1 Ti 2.67
Ge (0.1616, 0.1724, 0.6825)  3 Fe 2.42-2.47, 1 Ge 2.55, 1 Ti 2.67
Ge (0.1616, 0.8276, 0.3175)  3 Fe 2.42-2.47, 1 Ge 2.55, 1 Ti 2.67
Ge (0.8384, 0.3276, 0.1825)  3 Fe 2.42-2.47, 1 Ge 2.55, 1 Ti 2.67
Ge (0.8384, 0.6724, 0.8175)  3 Fe 2.42-2.47, 1 Ge 2.55, 1 Ti 2.67
Ge (0.5000, 0.5411, 0.3789)  2 Fe 2.38, 1 Ge 2.48
Ge (0.5000, 0.4589, 0.6211)  2 Fe 2.38, 1 Ge 2.48
Ge (0.5000, 0.9589, 0.8789)  2 Fe 2.38, 1 Ge 2.48
Ge (0.5000, 0.0411, 0.1211)  2 Fe 2.38, 1 Ge 2.48
Ge (0.0000, 0.5334, 0.3782)  2 Fe 2.39, 1 Ge 2.45
Ge (0.0000, 0.4666, 0.6218)  2 Fe 2.39, 1 Ge 2.45
Ge (0.0000, 0.9666, 0.8782)  2 Fe 2.39, 1 Ge 2.45
Ge (0.0000, 0.0334, 0.1218)  2 Fe 2.39, 1 Ge 2.45
Ge (0.5000, 0.6328, 0.1012)  4 Fe 2.48, 3 Ti 2.64-2.76
Ge (0.5000, 0.3672, 0.8988)  4 Fe 2.48, 3 Ti 2.64-2.76
Ge (0.5000, 0.8672, 0.6012)  4 Fe 2.48, 3 Ti 2.64-2.76
Ge (0.5000, 0.1328, 0.3988)  4 Fe 2.48, 3 Ti 2.64-2.76
Ge (0.0000, 0.6368, 0.0895)  4 Fe 2.51-2.55, 2 Ti 2.72
Ge (0.0000, 0.3632, 0.9105)  4 Fe 2.51-2.55, 2 Ti 2.72
Ge (0.0000, 0.8632, 0.5895)  4 Fe 2.51-2.55, 2 Ti 2.72
Ge (0.0000, 0.1368, 0.4105)  4 Fe 2.51-2.55, 2 Ti 2.72

The calculated formation energy comes out at -0.345 eV per atom. As for the space group: Pbam (55).

---

This record from the Materials Project describes Tm9Fe10Ge10 after structural relaxation. The functional is r²SCAN.

a = 10.0228 Å, b = 10.0224 Å, c = 10.0218 Å
α = 148.81°, β = 96.86°, γ = 91.43°
Closest atoms and distances in Å follow each position.
Atoms (fractional coordinates):
Tm (0.5000, 0.0000, 0.5000)  2 Ge 2.94, 12 Fe 3.00-3.19
Tm (0.7835, 0.0000, 0.7835)  4 Ge 2.84-3.07, 4 Fe 3.15
Tm (0.2164, 0.0000, 0.2165)  4 Ge 2.84-3.07, 4 Fe 3.15
Tm (0.1954, 0.1954, 0.9999)  6 Ge 2.80-3.05, 1 Fe 2.95
Tm (0.8046, 0.8046, 0.0000)  6 Ge 2.80-3.05, 1 Fe 2.95
Tm (0.9900, 0.6366, 0.3534)  7 Ge 2.90-3.07, 4 Fe 3.09-3.24
Tm (0.0100, 0.3634, 0.6466)  7 Ge 2.90-3.07, 4 Fe 3.09-3.24
Tm (0.7168, 0.3635, 0.3534)  7 Ge 2.90-3.07, 4 Fe 3.09-3.24
Tm (0.2832, 0.6365, 0.6466)  7 Ge 2.90-3.07, 4 Fe 3.09-3.24
Fe (0.4060, 0.4061, 0.0001)  5 Fe 2.47-2.63, 2 Ge 2.64
Fe (0.5940, 0.5939, 0.9999)  5 Fe 2.47-2.63, 2 Ge 2.64
Fe (0.2021, 0.1011, 0.6105)  4 Ge 2.47-2.56, 3 Fe 2.47-2.75
Fe (0.7980, 0.4085, 0.8992)  4 Ge 2.47-2.56, 3 Fe 2.47-2.75
Fe (0.5094, 0.8989, 0.1010)  4 Ge 2.47-2.56, 3 Fe 2.47-2.75
Fe (0.4906, 0.5915, 0.3895)  4 Ge 2.47-2.56, 3 Fe 2.47-2.75
Fe (0.7979, 0.8989, 0.3895)  4 Ge 2.47-2.56, 3 Fe 2.48-2.75
Fe (0.2020, 0.5915, 0.1008)  4 Ge 2.47-2.56, 3 Fe 2.47-2.75
Fe (0.4906, 0.1011, 0.8989)  4 Ge 2.47-2.56, 3 Fe 2.47-2.75
Fe (0.5094, 0.4085, 0.6105)  4 Ge 2.47-2.56, 3 Fe 2.47-2.75
Ge (0.0000, 0.7494, 0.7494)  2 Ge 2.69-2.70
Ge (0.0000, 0.2506, 0.2506)  2 Ge 2.69-2.70
Ge (0.6724, 0.5000, 0.1723)  6 Fe 2.55-2.64
Ge (0.3276, 0.5000, 0.8276)  6 Fe 2.55-2.64
Ge (0.2902, 0.7901, 0.4999)  4 Fe 2.49
Ge (0.7098, 0.2100, 0.5001)  4 Fe 2.49
Ge (0.9924, 0.2026, 0.7896)  4 Fe 2.47-2.56
Ge (0.0076, 0.7974, 0.2104)  4 Fe 2.47-2.56
Ge (0.5870, 0.7974, 0.7898)  4 Fe 2.47-2.56
Ge (0.4130, 0.2026, 0.2102)  4 Fe 2.47-2.56

The calculated formation energy comes out at -0.545 eV per atom. As for the space group: Immm (71).